VASP calculation (GGA-PBE) on an optimized crystal structure of Na14Ca4Nb4Si9S3O48.

## Properties
Calculated volume, Å³/atom: 13.9
Energy relative to the elements, eV per atom: -2.75
Total energy, eV/atom: -6.8063
Space group: P1, No. 1

a = 18.6616 Å, b = 9.3373 Å, c = 22.6071 Å
α = 89.89°, β = 90.23°, γ = 120.07°
Positions (direct):
Na (0.8232, 0.0109, 0.2583)
Na (0.1690, 0.3399, 0.2503)
Na (0.6598, 0.3475, 0.2530)
Na (0.0119, 0.6638, 0.2436)
Na (0.5119, 0.6532, 0.2553)
Na (0.3228, 0.6341, 0.7622)
Na (0.0116, 0.3691, 0.7597)
Na (0.5096, 0.3632, 0.7472)
Na (0.1619, 0.9751, 0.7580)
Na (0.6633, 0.9852, 0.7555)
Na (0.1436, 0.3055, 0.5903)
Na (0.6418, 0.3079, 0.5921)
Na (0.3426, 0.9970, 0.5803)
Na (0.8342, 0.9708, 0.5943)
Na (0.1446, 0.9805, 0.0929)
Na (0.6374, 0.9744, 0.0901)
Na (0.3448, 0.6959, 0.0914)
Na (0.8407, 0.6927, 0.0746)
Na (0.4784, 0.6616, 0.9212)
Na (0.9760, 0.6449, 0.9219)
Na (0.3529, 0.0517, 0.9176)
Na (0.8487, 0.0377, 0.9171)
Na (0.1696, 0.2904, 0.9290)
Na (0.6674, 0.2777, 0.9187)
Na (0.4766, 0.3095, 0.4203)
Na (0.9820, 0.3005, 0.4062)
Na (0.1704, 0.0607, 0.4133)
Na (0.6691, 0.0479, 0.4269)
Na (0.3500, 0.6585, 0.4121)
Na (0.8505, 0.6533, 0.4132)
Na (0.0177, 0.9896, 0.4986)
Na (0.5111, 0.0063, 0.5041)
Na (0.0123, 0.0198, 0.0076)
Na (0.5146, 0.0226, 0.0052)
Na (0.3317, 0.3302, 0.8427)
Na (0.8310, 0.3359, 0.8448)
Na (0.3302, 0.3213, 0.3373)
Na (0.8326, 0.3358, 0.3376)
Na (0.1726, 0.6725, 0.1687)
Na (0.6457, 0.6376, 0.1687)
Na (0.1488, 0.6533, 0.6728)
Na (0.6680, 0.6696, 0.6722)
Ca (0.0086, 0.0190, 0.3485)
Ca (0.5070, 0.9936, 0.8509)
Ca (0.9977, 0.9952, 0.6534)
Ca (0.5088, 0.9988, 0.6526)
Ca (0.0093, 0.0170, 0.1536)
Ca (0.4970, 0.9977, 0.1524)
Ca (0.3365, 0.3328, 0.9856)
Ca (0.8308, 0.3306, 0.9811)
Ca (0.3305, 0.3305, 0.4802)
Ca (0.8360, 0.3403, 0.4838)
Ca (0.6649, 0.6664, 0.3176)
Ca (0.1642, 0.6624, 0.8183)
Nb (0.5030, 0.0130, 0.3496)
Nb (0.0012, 0.9907, 0.8505)
Nb (0.3317, 0.3215, 0.6820)
Nb (0.8321, 0.3229, 0.6912)
Nb (0.3391, 0.3558, 0.1875)
Nb (0.8328, 0.3420, 0.1812)
Nb (0.1514, 0.6478, 0.0194)
Nb (0.6600, 0.6495, 0.0196)
Nb (0.1694, 0.6858, 0.5155)
Nb (0.6510, 0.6548, 0.5200)
Nb (0.1674, 0.6688, 0.3137)
Nb (0.6672, 0.6657, 0.8158)
Si (0.1587, 0.0039, 0.2488)
Si (0.6548, 0.0106, 0.2475)
Si (0.3496, 0.7024, 0.2492)
Si (0.9958, 0.3082, 0.2544)
Si (0.4979, 0.3019, 0.2479)
Si (0.1527, 0.2978, 0.7461)
Si (0.6543, 0.3121, 0.7494)
Si (0.9992, 0.6970, 0.7475)
Si (0.4956, 0.6836, 0.7540)
Si (0.8489, 0.9956, 0.7486)
Si (0.4806, 0.3275, 0.5774)
Si (0.1803, 0.0231, 0.5778)
Si (0.6888, 0.0295, 0.5795)
Si (0.4866, 0.6316, 0.0787)
Si (0.9812, 0.6350, 0.0774)
Si (0.1882, 0.3471, 0.0795)
Si (0.6816, 0.3382, 0.0774)
Si (0.8144, 0.6755, 0.9178)
Si (0.0163, 0.3513, 0.9120)
Si (0.5196, 0.3662, 0.9134)
Si (0.1658, 0.9604, 0.9125)
Si (0.6630, 0.9478, 0.9193)
Si (0.3170, 0.9593, 0.4137)
Si (0.1618, 0.3777, 0.4204)
Si (0.6659, 0.3715, 0.4136)
Si (0.0208, 0.6723, 0.4129)
Si (0.5164, 0.6815, 0.4122)
S (0.8495, 0.6926, 0.2471)
S (0.3493, 0.0053, 0.7462)
S (0.9874, 0.3470, 0.5837)
S (0.3256, 0.6240, 0.5863)
S (0.8278, 0.6257, 0.5810)
S (0.3257, 0.0257, 0.0801)
S (0.8279, 0.0316, 0.0867)
S (0.3141, 0.6763, 0.9199)
S (0.8155, 0.9522, 0.4217)
O (0.1270, 0.0617, 0.3063)
O (0.5997, 0.0379, 0.3046)
O (0.4185, 0.8129, 0.3032)
O (0.8969, 0.7675, 0.3022)
O (0.4883, 0.1803, 0.3100)
O (0.9643, 0.1958, 0.3141)
O (0.0977, 0.1593, 0.8020)
O (0.6243, 0.1879, 0.8055)
O (0.4625, 0.7314, 0.8130)
O (0.9870, 0.7943, 0.8085)
O (0.3976, 0.0254, 0.8006)
O (0.9182, 0.0256, 0.8017)
O (0.3910, 0.9946, 0.6927)
O (0.8761, 0.9691, 0.6852)
O (0.0979, 0.2381, 0.6871)
O (0.5956, 0.2490, 0.6918)
O (0.0220, 0.8238, 0.6952)
O (0.5245, 0.8196, 0.7029)
O (0.3735, 0.7859, 0.1862)
O (0.8920, 0.7904, 0.1945)
O (0.0239, 0.2260, 0.2048)
O (0.5217, 0.2175, 0.1975)
O (0.0943, 0.9364, 0.1939)
O (0.5978, 0.9605, 0.1901)
O (0.4242, 0.3413, 0.6341)
O (0.9423, 0.3573, 0.6372)
O (0.2488, 0.1397, 0.6340)
O (0.7559, 0.1411, 0.6369)
O (0.3203, 0.5131, 0.6380)
O (0.8262, 0.5159, 0.6298)
O (0.4322, 0.5091, 0.1376)
O (0.9262, 0.5084, 0.1348)
O (0.3213, 0.1287, 0.1286)
O (0.8246, 0.1345, 0.1388)
O (0.2552, 0.3746, 0.1364)
O (0.7509, 0.3565, 0.1339)
O (0.2272, 0.3309, 0.0192)
O (0.7212, 0.3209, 0.0173)
O (0.4420, 0.5525, 0.0177)
O (0.9358, 0.5579, 0.0165)
O (0.3331, 0.1028, 0.0217)
O (0.8385, 0.1206, 0.0316)
O (0.2220, 0.1130, 0.5169)
O (0.7320, 0.1224, 0.5198)
O (0.3360, 0.5556, 0.5309)
O (0.8363, 0.5633, 0.5231)
O (0.4355, 0.3137, 0.5162)
O (0.9449, 0.3455, 0.5290)
O (0.2617, 0.6768, 0.9705)
O (0.7706, 0.6943, 0.9796)
O (0.0798, 0.4690, 0.9711)
O (0.5815, 0.4809, 0.9720)
O (0.1551, 0.8263, 0.9695)
O (0.6668, 0.8373, 0.9775)
O (0.2691, 0.8509, 0.4776)
O (0.7632, 0.8479, 0.4730)
O (0.1657, 0.4930, 0.4808)
O (0.6558, 0.4849, 0.4712)
O (0.0848, 0.6859, 0.4719)
O (0.5796, 0.6904, 0.4724)
O (0.0759, 0.6758, 0.3563)
O (0.5572, 0.6572, 0.3547)
O (0.2530, 0.8338, 0.3640)
O (0.7719, 0.8844, 0.3654)
O (0.1551, 0.4836, 0.3639)
O (0.6855, 0.4743, 0.3537)
O (0.0557, 0.4551, 0.8537)
O (0.5769, 0.4771, 0.8571)
O (0.1823, 0.8954, 0.8517)
O (0.6571, 0.8342, 0.8606)
O (0.2734, 0.6667, 0.8629)
O (0.7531, 0.6741, 0.8644)
O (0.0119, 0.8341, 0.4172)
O (0.5213, 0.8641, 0.4142)
O (0.4052, 0.9603, 0.4101)
O (0.8945, 0.9501, 0.4243)
O (0.0774, 0.2009, 0.4258)
O (0.5749, 0.1932, 0.4129)
O (0.0213, 0.1781, 0.9129)
O (0.5130, 0.1881, 0.9174)
O (0.0742, 0.9564, 0.9112)
O (0.5788, 0.9551, 0.9251)
O (0.3946, 0.8332, 0.9241)
O (0.9049, 0.8498, 0.9081)
O (0.4928, 0.1696, 0.5856)
O (0.9929, 0.1943, 0.5855)
O (0.0925, 0.0120, 0.5851)
O (0.6003, 0.0164, 0.5860)
O (0.3921, 0.7944, 0.5948)
O (0.8944, 0.7990, 0.5868)
O (0.4959, 0.8116, 0.0852)
O (0.9932, 0.8170, 0.0856)
O (0.3929, 0.9884, 0.0865)
O (0.8945, 0.9945, 0.0955)
O (0.0989, 0.1852, 0.0879)
O (0.5930, 0.1802, 0.0873)
O (0.3449, 0.1655, 0.7431)
O (0.8467, 0.1784, 0.7460)
O (0.2425, 0.2917, 0.7401)
O (0.7462, 0.3243, 0.7327)
O (0.4134, 0.4961, 0.7346)
O (0.9128, 0.5129, 0.7376)
O (0.3479, 0.5181, 0.2476)
O (0.8459, 0.5251, 0.2434)
O (0.4113, 0.3105, 0.2409)
O (0.9142, 0.3323, 0.2367)
O (0.2469, 0.1736, 0.2307)
O (0.7441, 0.1963, 0.2419)
O (0.3252, 0.5300, 0.9226)
O (0.8244, 0.5150, 0.9117)
O (0.4314, 0.3589, 0.9101)
O (0.9243, 0.3190, 0.9204)
O (0.2410, 0.1476, 0.9213)
O (0.7469, 0.1237, 0.9128)
O (0.3253, 0.1380, 0.4096)
O (0.8316, 0.1247, 0.4259)
O (0.2457, 0.3701, 0.4141)
O (0.7412, 0.3346, 0.4231)
O (0.4245, 0.5291, 0.4205)
O (0.9337, 0.4991, 0.4127)
O (0.1860, 0.5281, 0.0767)
O (0.6891, 0.5259, 0.0811)
O (0.0752, 0.6467, 0.0780)
O (0.5814, 0.6469, 0.0799)
O (0.2426, 0.8627, 0.0817)
O (0.7453, 0.8738, 0.0892)
O (0.1831, 0.8425, 0.5820)
O (0.6863, 0.8436, 0.5790)
O (0.2434, 0.6200, 0.5876)
O (0.7446, 0.6200, 0.5833)
O (0.0737, 0.4966, 0.5849)
O (0.5752, 0.5035, 0.5788)
O (0.1754, 0.8460, 0.2606)
O (0.6837, 0.8773, 0.2594)
O (0.2523, 0.6450, 0.2654)
O (0.7645, 0.6637, 0.2484)
O (0.0758, 0.5021, 0.2596)
O (0.5735, 0.4908, 0.2533)
O (0.1818, 0.4893, 0.7579)
O (0.6727, 0.5030, 0.7596)
O (0.0734, 0.6563, 0.7531)
O (0.5751, 0.6491, 0.7599)
O (0.2643, 0.8640, 0.7477)
O (0.7518, 0.8570, 0.7628)